No. 1
A geometry-optimized Li3As7H39N13 structure, computed with GGA-PBE.

a = 9.975 Å, b = 13.173 Å, c = 23.185 Å
α = 90.00°, β = 90.00°, γ = 90.00°
Element x y z (fractional)
1 N 0.888 0.193 0.552
2 H 0.727 0.422 0.750
3 H 0.929 0.279 0.135
4 As 0.945 0.955 0.276
5 H 0.273 0.922 0.250
6 H 0.251 0.124 0.478
7 H 0.088 0.763 0.430
8 H 0.945 0.397 0.037
9 H 0.555 0.397 0.537
10 As 0.175 0.651 0.607
11 H 0.729 0.744 0.006
12 H 0.474 0.210 0.163
13 N 0.737 0.994 0.126
14 H 0.737 0.930 0.604
15 N 0.357 0.893 0.486
16 As 0.280 0.599 0.203
17 H 0.771 0.744 0.506
18 H 0.666 0.341 0.797
19 N 0.017 0.314 0.879
20 H 0.971 0.149 0.559
21 N 0.726 0.693 0.039
22 N 0.857 0.393 0.014
23 H 0.227 0.922 0.750
24 N 0.148 0.732 0.853
25 N 0.237 0.494 0.374
26 H 0.406 0.066 0.681
27 N 0.774 0.693 0.539
28 Li 0.214 0.630 0.915
29 N 0.036 0.148 0.690
30 Li 0.329 0.208 0.383
31 N 0.612 0.193 0.052
32 H 0.032 0.972 0.551
33 N 0.896 0.452 0.420
34 H 0.445 0.897 0.463
35 As 0.780 0.099 0.297
36 H 0.005 0.369 0.910
37 H 0.169 0.168 0.154
38 H 0.476 0.541 0.483
39 H 0.229 0.244 0.494
40 H 0.873 0.686 0.551
41 H 0.749 0.624 0.522
42 H 0.471 0.649 0.941
43 H 0.717 0.388 0.545
44 H 0.237 0.430 0.896
45 N 0.651 0.412 0.780
46 H 0.931 0.270 0.880
47 H 0.087 0.245 0.341
48 Li 0.350 0.027 0.159
49 H 0.858 0.324 0.994
50 H 0.691 0.449 0.943
51 N 0.274 0.193 0.961
52 H 0.495 0.369 0.410
53 H 0.271 0.244 0.994
54 N 0.571 0.110 0.521
55 H 0.532 0.472 0.949
56 N 0.763 0.994 0.626
57 N 0.143 0.893 0.986
58 H 0.283 0.888 0.455
59 N 0.323 0.226 0.823
60 H 0.728 0.279 0.656
61 As 0.825 0.151 0.393
62 H 0.153 0.020 0.861
63 H 0.217 0.888 0.955
64 N 0.339 0.090 0.650
65 H 0.272 0.779 0.344
66 H 0.880 0.200 0.185
67 H 0.003 0.164 0.023
68 H 0.847 0.520 0.139
69 H 0.588 0.263 0.070
70 H 0.412 0.176 0.224
71 H 0.159 0.154 0.308
72 H 0.618 0.202 0.009
73 H 0.534 0.573 0.677
74 As 0.205 0.413 0.194
75 N 0.429 0.610 0.479
76 N 0.112 0.693 0.448
77 H 0.809 0.449 0.443
78 H 0.413 0.245 0.841
79 As 0.705 0.913 0.306
80 H 0.505 0.869 0.590
81 N 0.464 0.148 0.190
82 N 0.517 0.814 0.621
83 N 0.352 0.732 0.353
84 H 0.191 0.949 0.557
85 H 0.995 0.869 0.090
86 N 0.263 0.494 0.874
87 As 0.097 0.488 0.567
88 N 0.536 0.648 0.810
89 As 0.427 0.939 0.863
90 H 0.142 0.824 0.006
91 H 0.913 0.745 0.659
92 H 0.571 0.279 0.635
93 As 0.597 0.988 0.933
94 As 0.403 0.488 0.067
95 N 0.983 0.814 0.121
96 As 0.573 0.439 0.137
97 H 0.558 0.134 0.206
98 N 0.648 0.232 0.647
99 As 0.716 0.877 0.406
100 H 0.936 0.407 0.256
101 H 0.383 0.077 0.611
102 H 0.224 0.487 0.834
103 N 0.388 0.693 0.948
104 N 0.839 0.590 0.850
105 H 0.334 0.841 0.203
106 N 0.483 0.314 0.379
107 H 0.653 0.520 0.639
108 Li 0.850 0.527 0.341
109 As 0.325 0.651 0.107
110 N 0.661 0.590 0.350
111 H 0.783 0.388 0.045
112 H 0.689 0.772 0.212
113 H 0.468 0.972 0.051
114 H 0.249 0.124 0.978
115 H 0.883 0.577 0.889
116 H 0.166 0.841 0.703
117 N 0.161 0.090 0.150
118 H 0.331 0.168 0.654
119 N 0.349 0.912 0.220
120 H 0.055 0.897 0.963
121 H 0.503 0.664 0.477
122 H 0.069 0.770 0.120
123 As 0.675 0.151 0.893
124 H 0.865 0.991 0.631
125 H 0.635 0.991 0.131
126 Li 0.829 0.708 0.117
127 H 0.373 0.186 0.949
128 H 0.382 0.702 0.991
129 H 0.659 0.654 0.192
130 H 0.564 0.407 0.756
131 As 0.284 0.377 0.594
132 H 0.118 0.702 0.491
133 H 0.466 0.073 0.323
134 N 0.226 0.193 0.461
135 H 0.263 0.430 0.396
136 As 0.073 0.939 0.363
137 H 0.088 0.176 0.724
138 H 0.588 0.676 0.776
139 N 0.104 0.952 0.580
140 N 0.177 0.226 0.323
141 H 0.751 0.624 0.022
142 H 0.569 0.270 0.380
143 H 0.504 0.545 0.611
144 As 0.903 0.988 0.433
145 N 0.151 0.912 0.720
146 H 0.071 0.779 0.865
147 As 0.555 0.955 0.776
148 H 0.627 0.686 0.051
149 H 0.416 0.877 0.090
150 H 0.431 0.770 0.620
151 H 0.621 0.120 0.482
152 N 0.849 0.412 0.280
153 H 0.024 0.541 0.983
154 H 0.617 0.577 0.389
155 H 0.094 0.066 0.181
156 H 0.912 0.676 0.276
157 N 0.396 0.952 0.080
158 H 0.412 0.763 0.930
159 H 0.526 0.710 0.837
160 As 0.720 0.099 0.797
161 H 0.015 0.352 0.840
162 Li 0.286 0.630 0.415
163 Li 0.786 0.130 0.085
164 H 0.882 0.202 0.509
165 H 0.811 0.772 0.712
166 As 0.295 0.413 0.694
167 H 0.879 0.120 0.982
168 H 0.642 0.324 0.494
169 H 0.379 0.620 0.518
170 H 0.058 0.634 0.294
171 H 0.974 0.710 0.337
172 Li 0.671 0.708 0.617
173 As 0.220 0.599 0.703
174 H 0.620 0.200 0.685
175 H 0.121 0.620 0.018
176 H 0.064 0.907 0.744
177 H 0.772 0.279 0.156
178 H 0.497 0.164 0.523
179 H 0.966 0.573 0.177
180 H 0.942 0.134 0.706
181 H 0.906 0.566 0.819
182 H 0.831 0.668 0.846
183 H 0.034 0.073 0.823
184 H 0.380 0.700 0.315
185 H 0.026 0.210 0.663
186 N 0.677 0.726 0.177
187 H 0.724 0.987 0.666
188 H 0.029 0.649 0.441
189 Li 0.171 0.208 0.883
190 H 0.529 0.149 0.059
191 H 0.916 0.377 0.410
192 As 0.795 0.913 0.806
193 H 0.773 0.422 0.250
194 N 0.071 0.610 0.979
195 H 0.485 0.352 0.340
196 H 0.084 0.877 0.590
197 H 0.841 0.654 0.692
198 H 0.912 0.263 0.570
199 H 0.120 0.700 0.815
200 N 0.922 0.574 0.138
201 H 0.976 0.041 0.017
202 H 0.776 0.987 0.166
203 H 0.135 0.491 0.369
204 H 0.365 0.491 0.869
205 H 0.358 0.824 0.506
206 H 0.311 0.272 0.788
207 As 0.784 0.877 0.906
208 N 0.964 0.648 0.310
209 H 0.587 0.745 0.159
210 N 0.852 0.232 0.147
211 H 0.968 0.472 0.449
212 H 0.189 0.272 0.288
213 H 0.117 0.077 0.111
214 H 0.429 0.779 0.365
215 H 0.997 0.664 0.977
216 N 0.643 0.393 0.514
217 As 0.927 0.439 0.637
218 H 0.228 0.779 0.844
219 N 0.823 0.726 0.677
220 H 0.309 0.949 0.057
221 N 0.078 0.074 0.862
222 H 0.127 0.186 0.449
223 H 0.341 0.154 0.808
224 As 0.216 0.377 0.094
225 H 0.515 0.852 0.660
226 H 0.985 0.852 0.160
227 H 0.996 0.545 0.111
228 H 0.669 0.668 0.346
229 H 0.436 0.907 0.244
230 Li 0.714 0.130 0.585
231 N 0.422 0.074 0.362
232 N 0.604 0.452 0.920
233 N 0.578 0.574 0.638
234 H 0.442 0.634 0.794
235 H 0.524 0.041 0.517
236 H 0.834 0.341 0.297
237 N 0.929 0.110 0.021
238 As 0.445 0.455 0.224
239 H 0.584 0.377 0.910
240 H 0.496 0.045 0.389
241 H 0.594 0.566 0.319
242 Li 0.150 0.027 0.659
243 H 0.347 0.020 0.361
244 H 0.004 0.045 0.889
245 H 0.276 0.487 0.334
246 As 0.055 0.455 0.724
247 H 0.763 0.930 0.104
248 Li 0.650 0.527 0.841

Uncorrected energy ... -4.8529 eV/atom
Space-group type ... Pna2_1, No. 33

=====

No. 2
A geometry-optimized LiAs2H3O7 structure, computed with GGA-PBE.

a = 7.483 Å, b = 7.483 Å, c = 5.698 Å
α = 70.47°, β = 70.47°, γ = 78.32°
Element x y z (fractional)
1 O 0.792 0.485 0.163
2 Li 0.848 0.152 0.000
3 As 0.269 0.269 0.951
4 O 0.208 0.515 0.837
5 O 0.485 0.792 0.163
6 O 0.705 0.149 0.367
7 H 0.282 0.972 0.497
8 O 0.577 0.577 0.592
9 H 0.718 0.028 0.503
10 O 0.423 0.423 0.408
11 O 0.133 0.133 0.922
12 H 0.692 0.692 0.677
13 As 0.350 0.650 0.500
14 O 0.149 0.705 0.367
15 H 0.028 0.718 0.503
16 As 0.731 0.731 0.049
17 H 0.308 0.308 0.323
18 O 0.851 0.295 0.633
19 Li 0.152 0.848 0.000
20 As 0.650 0.350 0.500
21 O 0.867 0.867 0.078
22 O 0.295 0.851 0.633
23 O 0.772 0.772 0.712
24 O 0.515 0.208 0.837
25 H 0.972 0.282 0.497
26 O 0.228 0.228 0.288

Uncorrected energy ... -5.5849 eV/atom
Space-group type ... C2/m, No. 12

=====

No. 3
A geometry-optimized Li3AsH16S4O8 structure, computed with GGA-PBE.

a = 10.258 Å, b = 10.074 Å, c = 14.472 Å
α = 90.00°, β = 107.13°, γ = 90.00°
Element x y z (fractional)
1 H 0.993 0.719 0.964
2 H 0.262 0.347 0.182
3 O 0.662 0.296 0.329
4 H 0.841 0.295 0.703
5 S 0.877 0.717 0.634
6 H 0.486 0.387 0.837
7 O 0.258 0.945 0.498
8 H 0.486 0.613 0.337
9 H 0.242 0.839 0.319
10 S 0.360 0.040 0.304
11 H 0.242 0.161 0.819
12 H 0.145 0.988 0.687
13 H 0.145 0.012 0.187
14 O 0.056 0.281 0.986
15 H 0.660 0.790 0.794
16 H 0.269 0.486 0.559
17 H 0.311 0.976 0.455
18 H 0.234 0.447 0.451
19 O 0.188 0.223 0.846
20 H 0.758 0.839 0.181
21 O 0.291 0.511 0.500
22 H 0.656 0.538 0.193
23 As 0.500 0.084 0.750
24 H 0.274 0.014 0.549
25 H 0.274 0.986 0.049
26 S 0.865 0.538 0.304
27 H 0.514 0.387 0.663
28 H 0.766 0.553 0.549
29 H 0.993 0.347 0.562
30 O 0.742 0.945 0.002
31 Li 0.076 0.119 0.916
32 H 0.533 0.226 0.075
33 H 0.012 0.101 0.152
34 H 0.311 0.024 0.955
35 H 0.344 0.538 0.307
36 O 0.662 0.704 0.829
37 H 0.344 0.462 0.807
38 H 0.988 0.101 0.348
39 H 0.007 0.653 0.438
40 Li 0.924 0.881 0.084
41 S 0.369 0.207 0.636
42 O 0.946 0.016 0.361
43 S 0.640 0.960 0.696
44 O 0.338 0.296 0.171
45 O 0.291 0.489 0.000
46 O 0.054 0.016 0.139
47 H 0.514 0.613 0.163
48 H 0.007 0.719 0.536
49 S 0.631 0.207 0.864
50 H 0.159 0.295 0.797
51 O 0.944 0.719 0.014
52 H 0.007 0.281 0.036
53 Li 0.721 0.278 0.493
54 O 0.515 0.722 0.983
55 H 0.758 0.161 0.681
56 H 0.521 0.243 0.965
57 O 0.812 0.223 0.654
58 O 0.258 0.055 0.998
59 H 0.993 0.653 0.062
60 S 0.877 0.283 0.134
61 S 0.123 0.283 0.366
62 Li 0.500 0.401 0.250
63 H 0.988 0.899 0.848
64 S 0.135 0.462 0.696
65 S 0.360 0.960 0.804
66 As 0.000 0.408 0.250
67 H 0.841 0.705 0.203
68 O 0.442 0.474 0.840
69 Li 0.500 0.500 0.500
70 S 0.369 0.793 0.136
71 O 0.338 0.704 0.671
72 O 0.812 0.777 0.154
73 H 0.479 0.243 0.535
74 O 0.056 0.719 0.486
75 S 0.640 0.040 0.196
76 O 0.515 0.278 0.483
77 O 0.485 0.722 0.517
78 H 0.269 0.514 0.059
79 H 0.533 0.774 0.575
80 H 0.467 0.774 0.925
81 O 0.442 0.526 0.340
82 H 0.262 0.653 0.682
83 H 0.467 0.226 0.425
84 O 0.558 0.526 0.160
85 O 0.742 0.055 0.502
86 H 0.007 0.347 0.938
87 H 0.340 0.790 0.706
88 Li 0.076 0.881 0.416
89 Li 0.721 0.722 0.993
90 O 0.709 0.489 0.500
91 H 0.689 0.024 0.545
92 Li 0.500 0.500 0.000
93 H 0.521 0.757 0.465
94 H 0.234 0.553 0.951
95 H 0.855 0.012 0.313
96 H 0.766 0.447 0.049
97 As 0.000 0.592 0.750
98 H 0.731 0.514 0.441
99 Li 0.924 0.119 0.584
100 H 0.726 0.014 0.951
101 H 0.689 0.976 0.045
102 H 0.726 0.986 0.451
103 Li 0.500 0.599 0.750
104 S 0.123 0.717 0.866
105 H 0.738 0.347 0.318
106 S 0.865 0.462 0.804
107 Li 0.279 0.278 0.007
108 H 0.656 0.462 0.693
109 H 0.993 0.281 0.464
110 O 0.188 0.777 0.346
111 O 0.054 0.984 0.639
112 H 0.660 0.210 0.294
113 H 0.855 0.988 0.813
114 S 0.135 0.538 0.196
115 O 0.709 0.511 0.000
116 H 0.479 0.757 0.035
117 H 0.340 0.210 0.206
118 H 0.159 0.705 0.297
119 Li 0.279 0.722 0.507
120 O 0.558 0.474 0.660
121 H 0.012 0.899 0.652
122 O 0.946 0.984 0.861
123 As 0.500 0.916 0.250
124 H 0.738 0.653 0.818
125 O 0.944 0.281 0.514
126 S 0.631 0.793 0.364
127 O 0.485 0.278 0.017
128 H 0.731 0.486 0.941

Uncorrected energy ... -4.7650 eV/atom
Space-group type ... P2/c, No. 13

=====

No. 4
A geometry-optimized LiUAsH8O10 structure, computed with GGA-PBE.

a = 7.144 Å, b = 7.144 Å, c = 9.441 Å
α = 90.00°, β = 90.00°, γ = 90.00°
Element x y z (fractional)
1 H 0.858 0.322 0.387
2 O 0.500 0.000 0.298
3 O 0.557 0.285 0.627
4 H 0.358 0.822 0.613
5 O 0.285 0.443 0.373
6 H 0.090 0.830 0.277
7 O 0.000 0.500 0.087
8 O 0.443 0.715 0.627
9 H 0.330 0.410 0.277
10 O 0.552 0.682 0.113
11 O 0.318 0.552 0.887
12 O 0.052 0.182 0.887
13 H 0.822 0.642 0.387
14 As 0.000 0.000 0.000
15 U 0.500 0.000 0.106
16 O 0.948 0.818 0.887
17 O 0.057 0.785 0.373
18 O 0.000 0.500 0.702
19 H 0.642 0.178 0.613
20 O 0.785 0.943 0.627
21 H 0.830 0.910 0.723
22 As 0.500 0.500 0.000
23 H 0.178 0.358 0.387
24 Li 0.500 0.500 0.500
25 H 0.410 0.670 0.723
26 O 0.182 0.948 0.113
27 H 0.590 0.330 0.723
28 O 0.448 0.318 0.113
29 H 0.170 0.090 0.723
30 O 0.715 0.557 0.373
31 O 0.215 0.057 0.627
32 Li 0.000 0.000 0.500
33 O 0.943 0.215 0.373
34 H 0.322 0.142 0.613
35 O 0.818 0.052 0.113
36 H 0.142 0.678 0.387
37 H 0.670 0.590 0.277
38 O 0.682 0.448 0.887
39 H 0.910 0.170 0.277
40 H 0.678 0.858 0.613
41 O 0.500 0.000 0.913
42 U 0.000 0.500 0.894

Uncorrected energy ... -6.0654 eV/atom
Space-group type ... P4/n, No. 85

=====

Question: Look up the uncorrected energy of the second one.
Answer: -5.5849 eV/atom

=====

Question: Number 4 is which compound?
Answer: LiUAsH8O10